This record from the Materials Project describes crystalline ErCo3P2 at its relaxed geometry. The functional is PBE-GGA.

Summary:
DFT total energy (eV/f.u.): -42.4

Cell lengths 3.667, 10.495, 12.144 Å; angles 90.00, 90.00, 90.00 degrees
Fractional positions:
Er 0.250 0.067 0.206
Er 0.250 0.250 0.478
Er 0.250 0.433 0.206
Er 0.750 0.567 0.794
Er 0.750 0.750 0.522
Er 0.750 0.933 0.794
Co 0.250 0.129 0.709
Co 0.250 0.250 0.014
Co 0.250 0.371 0.709
Co 0.250 0.547 0.431
Co 0.250 0.583 0.994
Co 0.250 0.750 0.158
Co 0.250 0.750 0.703
Co 0.250 0.917 0.994
Co 0.250 0.953 0.431
Co 0.750 0.047 0.569
Co 0.750 0.083 0.006
Co 0.750 0.250 0.297
Co 0.750 0.250 0.842
Co 0.750 0.417 0.006
Co 0.750 0.453 0.569
Co 0.750 0.629 0.291
Co 0.750 0.750 0.986
Co 0.750 0.871 0.291
P 0.250 0.097 0.893
P 0.250 0.403 0.893
P 0.250 0.562 0.616
P 0.250 0.750 0.344
P 0.250 0.750 0.881
P 0.250 0.938 0.616
P 0.750 0.062 0.384
P 0.750 0.250 0.119
P 0.750 0.250 0.656
P 0.750 0.438 0.384
P 0.750 0.597 0.107
P 0.750 0.903 0.107


This record from the Materials Project describes crystalline GdZnRh at its relaxed geometry. The functional is PBE-GGA.

Summary:
DFT total energy (eV/f.u.): -24.8

Cell lengths 7.031, 4.094, 8.199 Å; angles 90.00, 90.00, 90.00 degrees
Fractional positions:
Gd 0.037 0.250 0.184
Gd 0.463 0.750 0.684
Gd 0.537 0.250 0.316
Gd 0.963 0.750 0.816
Zn 0.136 0.250 0.563
Zn 0.364 0.750 0.063
Zn 0.636 0.250 0.937
Zn 0.864 0.750 0.437
Rh 0.243 0.750 0.378
Rh 0.257 0.250 0.878
Rh 0.743 0.750 0.122
Rh 0.757 0.250 0.622


This record from the Materials Project describes crystalline Hf3Zn3N at its relaxed geometry. The functional is PBE-GGA.

Summary:
DFT total energy (eV/f.u.): -47.0

Cell lengths 8.515, 8.515, 8.515 Å; angles 60.00, 60.00, 60.00 degrees
Fractional positions:
Hf 0.060 0.060 0.690
Hf 0.060 0.690 0.060
Hf 0.060 0.690 0.690
Hf 0.310 0.310 0.940
Hf 0.310 0.940 0.310
Hf 0.310 0.940 0.940
Hf 0.690 0.060 0.060
Hf 0.690 0.060 0.690
Hf 0.690 0.690 0.060
Hf 0.940 0.310 0.310
Hf 0.940 0.310 0.940
Hf 0.940 0.940 0.310
Zn 0.000 0.500 0.500
Zn 0.292 0.292 0.292
Zn 0.292 0.292 0.623
Zn 0.292 0.623 0.292
Zn 0.377 0.708 0.708
Zn 0.500 0.000 0.500
Zn 0.500 0.500 0.000
Zn 0.500 0.500 0.500
Zn 0.623 0.292 0.292
Zn 0.708 0.377 0.708
Zn 0.708 0.708 0.377
Zn 0.708 0.708 0.708
N 0.000 0.000 0.000
N 0.000 0.000 0.500
N 0.000 0.500 0.000
N 0.500 0.000 0.000


This record from the Materials Project describes crystalline DyAl3Cl12 at its relaxed geometry. The functional is PBE-GGA.

Summary:
DFT total energy (eV/f.u.): -65.4

Cell lengths 10.816, 10.816, 16.035 Å; angles 90.00, 90.00, 120.00 degrees
Fractional positions:
Dy 0.172 0.343 0.167
Dy 0.172 0.828 0.833
Dy 0.657 0.828 0.500
Al 0.204 0.602 0.000
Al 0.302 0.097 0.230
Al 0.302 0.205 0.770
Al 0.398 0.602 0.333
Al 0.398 0.796 0.667
Al 0.795 0.097 0.104
Al 0.795 0.698 0.896
Al 0.903 0.205 0.563
Al 0.903 0.698 0.437
Cl 0.005 0.176 0.039
Cl 0.005 0.829 0.961
Cl 0.077 0.534 0.113
Cl 0.077 0.543 0.887
Cl 0.125 0.302 0.543
Cl 0.125 0.822 0.457
Cl 0.170 0.499 0.315
Cl 0.170 0.671 0.685
Cl 0.171 0.176 0.295
Cl 0.171 0.995 0.705
Cl 0.178 0.302 0.790
Cl 0.178 0.875 0.210
Cl 0.321 0.107 0.888
Cl 0.321 0.214 0.112
Cl 0.329 0.499 0.018
Cl 0.329 0.830 0.982
Cl 0.457 0.534 0.221
Cl 0.457 0.923 0.779
Cl 0.466 0.543 0.446
Cl 0.466 0.923 0.554
Cl 0.500 0.175 0.289
Cl 0.500 0.325 0.711
Cl 0.501 0.671 0.649
Cl 0.501 0.830 0.351
Cl 0.675 0.175 0.045
Cl 0.675 0.500 0.955
Cl 0.698 0.822 0.876
Cl 0.698 0.875 0.124
Cl 0.786 0.107 0.445
Cl 0.786 0.679 0.555
Cl 0.824 0.829 0.372
Cl 0.824 0.995 0.628
Cl 0.825 0.325 0.622
Cl 0.825 0.500 0.378
Cl 0.893 0.214 0.222
Cl 0.893 0.679 0.778


This record from the Materials Project describes crystalline NaTaTi3Si3S3O24 at its relaxed geometry. The functional is PBE-GGA.

Summary:
DFT total energy (eV/f.u.): -265.1

Cell lengths 8.730, 8.751, 22.623 Å; angles 89.20, 89.45, 60.20 degrees
Fractional positions:
Na 0.000 0.000 0.000
Na 0.010 0.988 0.502
Na 0.671 0.658 0.162
Ta 0.351 0.332 0.694
Ta 0.674 0.665 0.813
Ta 0.686 0.653 0.311
Ti 0.010 0.015 0.146
Ti 0.024 0.980 0.352
Ti 0.024 0.995 0.652
Ti 0.327 0.357 0.479
Ti 0.338 0.349 0.191
Ti 0.362 0.312 0.975
Ti 0.675 0.672 0.526
Ti 0.691 0.646 0.020
Ti 0.992 0.025 0.859
Si 0.020 0.274 0.251
Si 0.293 0.713 0.249
Si 0.293 0.995 0.754
Si 0.337 0.627 0.584
Si 0.628 0.331 0.084
Si 0.683 0.943 0.919
Si 0.733 0.281 0.751
Si 0.959 0.672 0.420
Si 0.972 0.376 0.919
S 0.008 0.712 0.752
S 0.053 0.330 0.584
S 0.054 0.620 0.085
S 0.345 0.042 0.085
S 0.385 0.664 0.920
S 0.388 0.953 0.420
S 0.627 0.045 0.583
S 0.677 0.374 0.420
S 0.720 0.001 0.251
O 0.032 0.159 0.310
O 0.032 0.172 0.589
O 0.033 0.797 0.092
O 0.044 0.781 0.804
O 0.132 0.358 0.637
O 0.132 0.510 0.139
O 0.151 0.492 0.430
O 0.158 0.360 0.933
O 0.160 0.539 0.032
O 0.160 0.818 0.591
O 0.163 0.530 0.741
O 0.166 0.299 0.530
O 0.167 0.024 0.810
O 0.173 0.798 0.309
O 0.181 0.023 0.091
O 0.187 0.298 0.238
O 0.197 0.838 0.193
O 0.206 0.961 0.694
O 0.209 0.970 0.414
O 0.211 0.820 0.912
O 0.308 0.169 0.737
O 0.311 0.150 0.031
O 0.313 0.522 0.527
O 0.316 0.518 0.242
O 0.366 0.123 0.139
O 0.367 0.496 0.640
O 0.370 0.505 0.926
O 0.373 0.126 0.428
O 0.468 0.693 0.972
O 0.469 0.838 0.473
O 0.486 0.694 0.262
O 0.487 0.826 0.761
O 0.496 0.868 0.366
O 0.497 0.633 0.865
O 0.499 0.863 0.080
O 0.505 0.353 0.143
O 0.509 0.138 0.928
O 0.513 0.640 0.570
O 0.517 0.123 0.638
O 0.517 0.355 0.427
O 0.530 0.304 0.027
O 0.535 0.301 0.741
O 0.543 0.150 0.245
O 0.543 0.153 0.531
O 0.642 0.868 0.577
O 0.643 0.487 0.366
O 0.646 0.857 0.861
O 0.647 0.507 0.078
O 0.699 0.837 0.260
O 0.701 0.823 0.977
O 0.702 0.460 0.472
O 0.702 0.475 0.761
O 0.801 0.023 0.306
O 0.804 0.022 0.590
O 0.810 0.157 0.809
O 0.823 0.153 0.094
O 0.832 0.200 0.413
O 0.832 0.960 0.199
O 0.834 0.691 0.477
O 0.838 0.464 0.976
O 0.840 0.473 0.261
O 0.847 0.183 0.692
O 0.851 0.690 0.757
O 0.860 0.959 0.911
O 0.865 0.639 0.362
O 0.871 0.497 0.861
O 0.874 0.637 0.081
O 0.876 0.488 0.576
O 0.970 0.195 0.194
O 0.980 0.818 0.697
O 0.980 0.845 0.412
O 0.987 0.182 0.913


This record from the Materials Project describes crystalline Na3HfZn3PS5O24 at its relaxed geometry. The functional is PBE-GGA.

Summary:
DFT total energy (eV/f.u.): -228.0

Cell lengths 8.792, 8.798, 22.806 Å; angles 89.92, 89.63, 60.21 degrees
Fractional positions:
Na 0.000 0.000 0.000
Na 0.006 0.694 0.411
Na 0.031 0.667 0.916
Na 0.065 0.334 0.829
Na 0.334 0.329 0.335
Na 0.365 0.988 0.740
Na 0.373 0.986 0.250
Na 0.682 0.351 0.078
Na 0.697 0.339 0.575
Hf 0.035 0.660 0.565
Hf 0.693 0.339 0.727
Hf 0.698 0.328 0.231
Zn 0.009 0.688 0.265
Zn 0.031 0.655 0.069
Zn 0.039 0.665 0.757
Zn 0.350 0.000 0.601
Zn 0.369 0.999 0.098
Zn 0.376 0.991 0.903
Zn 0.379 0.988 0.401
Zn 0.685 0.342 0.932
Zn 0.705 0.320 0.432
P 0.039 0.367 0.670
P 0.322 0.675 0.667
P 0.697 0.034 0.335
S 0.036 0.960 0.164
S 0.068 0.297 0.998
S 0.069 0.002 0.498
S 0.321 0.372 0.167
S 0.363 0.704 0.000
S 0.367 0.291 0.499
S 0.402 0.332 0.835
S 0.402 0.628 0.333
S 0.656 0.703 0.500
S 0.661 0.999 0.000
S 0.696 0.630 0.834
S 0.733 0.669 0.165
S 0.735 0.958 0.667
S 0.990 0.036 0.835
S 0.992 0.334 0.333
O 0.003 0.890 0.109
O 0.007 0.492 0.617
O 0.008 0.863 0.828
O 0.020 0.487 0.326
O 0.048 0.841 0.505
O 0.049 0.473 0.004
O 0.054 0.445 0.728
O 0.057 0.853 0.216
O 0.150 0.024 0.552
O 0.154 0.181 0.049
O 0.163 0.031 0.836
O 0.165 0.172 0.335
O 0.168 0.220 0.942
O 0.174 0.973 0.445
O 0.189 0.986 0.159
O 0.199 0.188 0.660
O 0.199 0.691 0.005
O 0.203 0.472 0.506
O 0.217 0.703 0.724
O 0.222 0.452 0.222
O 0.224 0.488 0.830
O 0.230 0.647 0.613
O 0.231 0.635 0.325
O 0.244 0.481 0.115
O 0.332 0.814 0.947
O 0.337 0.223 0.443
O 0.346 0.194 0.161
O 0.355 0.827 0.659
O 0.385 0.171 0.836
O 0.385 0.184 0.550
O 0.385 0.803 0.335
O 0.387 0.786 0.053
O 0.484 0.520 0.386
O 0.485 0.352 0.887
O 0.503 0.355 0.172
O 0.503 0.498 0.672
O 0.510 0.316 0.781
O 0.515 0.538 0.280
O 0.519 0.320 0.495
O 0.520 0.528 0.994
O 0.522 0.031 0.336
O 0.534 0.801 0.837
O 0.552 0.787 0.553
O 0.555 0.023 0.053
O 0.555 0.823 0.160
O 0.560 0.983 0.659
O 0.583 0.976 0.946
O 0.587 0.807 0.446
O 0.674 0.155 0.280
O 0.677 0.537 0.781
O 0.681 0.524 0.494
O 0.685 0.158 0.995
O 0.714 0.507 0.172
O 0.720 0.121 0.389
O 0.725 0.134 0.672
O 0.725 0.518 0.886
O 0.812 0.856 0.721
O 0.815 0.690 0.218
O 0.838 0.686 0.506
O 0.839 0.637 0.112
O 0.842 0.842 0.004
O 0.849 0.875 0.615
O 0.856 0.644 0.827
O 0.859 0.853 0.328
O 0.866 0.353 0.673
O 0.873 0.141 0.172
O 0.885 0.362 0.386
O 0.891 0.116 0.890
O 0.891 0.158 0.495
O 0.891 0.309 0.994
O 0.893 0.156 0.784
O 0.898 0.319 0.280


This record from the Materials Project describes crystalline Y14Ag51 at its relaxed geometry. The functional is PBE-GGA.

Summary:
DFT total energy (eV/f.u.): -251.2

Cell lengths 12.794, 12.794, 9.390 Å; angles 90.00, 90.00, 120.00 degrees
Fractional positions:
Y 0.000 0.000 0.194
Y 0.000 0.000 0.806
Y 0.113 0.384 0.500
Y 0.139 0.672 0.000
Y 0.271 0.887 0.500
Y 0.328 0.467 0.000
Y 0.401 0.283 0.500
Y 0.467 0.138 0.000
Y 0.533 0.861 0.000
Y 0.616 0.729 0.500
Y 0.671 0.533 0.000
Y 0.717 0.118 0.500
Y 0.862 0.329 0.000
Y 0.882 0.599 0.500
Ag 0.059 0.238 0.000
Ag 0.077 0.807 0.261
Ag 0.077 0.807 0.739
Ag 0.105 0.439 0.167
Ag 0.105 0.439 0.833
Ag 0.116 0.620 0.349
Ag 0.116 0.620 0.651
Ag 0.134 0.115 0.500
Ag 0.178 0.941 0.000
Ag 0.193 0.269 0.261
Ag 0.193 0.269 0.739
Ag 0.238 0.179 0.000
Ag 0.264 0.074 0.268
Ag 0.264 0.074 0.732
Ag 0.333 0.667 0.197
Ag 0.333 0.667 0.500
Ag 0.333 0.667 0.803
Ag 0.334 0.895 0.167
Ag 0.334 0.895 0.833
Ag 0.380 0.496 0.349
Ag 0.380 0.496 0.651
Ag 0.440 0.335 0.167
Ag 0.440 0.335 0.833
Ag 0.493 0.115 0.348
Ag 0.493 0.115 0.652
Ag 0.504 0.884 0.349
Ag 0.504 0.884 0.651
Ag 0.561 0.666 0.167
Ag 0.561 0.666 0.833
Ag 0.622 0.507 0.348
Ag 0.622 0.507 0.652
Ag 0.665 0.105 0.167
Ag 0.665 0.105 0.833
Ag 0.667 0.333 0.197
Ag 0.667 0.333 0.500
Ag 0.667 0.333 0.803
Ag 0.731 0.923 0.261
Ag 0.731 0.923 0.739
Ag 0.762 0.822 0.000
Ag 0.810 0.736 0.268
Ag 0.810 0.736 0.732
Ag 0.821 0.060 0.000
Ag 0.885 0.020 0.500
Ag 0.885 0.378 0.348
Ag 0.885 0.378 0.652
Ag 0.895 0.560 0.167
Ag 0.895 0.560 0.833
Ag 0.926 0.190 0.268
Ag 0.926 0.190 0.732
Ag 0.940 0.762 0.000
Ag 0.980 0.866 0.500